Entry 1:
A geometry-optimized BaSrI4 structure, computed with PBE.

Cell: 9.2711 9.2711 8.5134 Å, 68.86 68.86 108.08°
Fractional coordinates of all 12 atoms:
I: 0.2554 0.3715 0.7398
I: 0.6948 0.0552 0.0636
I: 0.9448 0.3052 0.4364
I: 0.3715 0.2554 0.2398
I: 0.7446 0.6285 0.2602
I: 0.6285 0.7446 0.7602
I: 0.0552 0.6948 0.5636
I: 0.3052 0.9448 0.9364
Sr: 0.6317 0.3683 0.7500
Sr: 0.3683 0.6317 0.2500
Ba: 0.9814 0.0186 0.2500
Ba: 0.0186 0.9814 0.7500

Computed properties:
Electronic total energy in eV/atom: -3.33
Formation energy from the elements in meV/atom: -1964.9
Space-group type: C2/c (15)

---

Entry 2:
A geometry-optimized Dy3Er structure, computed with PBE.

Cell: 4.9922 4.9922 4.9922 Å, 90.00 90.00 90.00°
Fractional coordinates of all 4 atoms:
Dy: 0.0000 0.5000 0.5000
Dy: 0.5000 0.5000 0.0000
Dy: 0.5000 0.0000 0.5000
Er: 0.0000 0.0000 0.0000

Computed properties:
Electronic total energy in eV/atom: -4.57
Formation energy from the elements in meV/atom: 25.0
Space-group type: Pm-3m (221)

---

Entry 3:
A geometry-optimized Dy2Fe15Co2C structure, computed with PBE.

Cell: 6.4364 6.4364 6.3935 Å, 83.56 83.56 83.71°
Fractional coordinates of all 20 atoms:
Fe: 0.3431 0.3431 0.8447
Fe: 0.1454 0.6532 0.6525
Fe: 0.8546 0.3468 0.3475
Fe: 0.0000 0.5000 0.0000
Fe: 0.2865 0.7135 0.0000
Fe: 0.0035 0.7167 0.2834
Fe: 0.3468 0.8546 0.3475
Fe: 0.2833 0.9965 0.7166
Fe: 0.6569 0.6569 0.1553
Fe: 0.7135 0.2865 0.0000
Fe: 0.0000 0.0000 0.5000
Fe: 0.7167 0.0035 0.2834
Fe: 0.9965 0.2833 0.7166
Fe: 0.6532 0.1454 0.6525
Fe: 0.5000 0.0000 0.0000
Co: 0.0951 0.0951 0.0947
Co: 0.9049 0.9049 0.9053
Dy: 0.6597 0.6597 0.6506
Dy: 0.3403 0.3403 0.3494
C: 0.5000 0.5000 0.0000

Computed properties:
Electronic total energy in eV/atom: -8.02
Formation energy from the elements in meV/atom: -32.4
Space-group type: C2/m (12)

---

Entry 4:
A geometry-optimized SrTbEuSbO6 structure, computed with PBE.

Cell: 5.9522 5.9522 5.9522 Å, 60.00 60.00 60.00°
Fractional coordinates of all 10 atoms:
O: 0.7632 0.2368 0.7632
O: 0.2368 0.7632 0.2368
O: 0.2368 0.2368 0.7632
O: 0.2368 0.7632 0.7632
O: 0.7632 0.7632 0.2368
O: 0.7632 0.2368 0.2368
Sr: 0.2500 0.2500 0.2500
Tb: 0.5000 0.5000 0.5000
Sb: 0.0000 0.0000 0.0000
Eu: 0.7500 0.7500 0.7500

Computed properties:
Electronic total energy in eV/atom: -7.64
Formation energy from the elements in meV/atom: -3017.0
Space-group type: F-43m (216)

---

Entry 5:
A geometry-optimized NaPH4O5 structure, computed with PBE.

Cell: 7.5565 7.6463 7.8771 Å, 90.00 90.00 90.00°
Fractional coordinates of all 44 atoms:
O: 0.8564 0.8377 0.7873
O: 0.7354 0.2270 0.9996
O: 0.7354 0.7270 0.5004
O: 0.5555 0.4293 0.8029
O: 0.3564 0.6623 0.2873
O: 0.2354 0.2730 0.4996
O: 0.3564 0.1623 0.2127
O: 0.5555 0.9293 0.6971
O: 0.2124 0.6618 0.6491
O: 0.3270 0.9520 0.4535
O: 0.0555 0.0707 0.3029
O: 0.8270 0.5480 0.9535
O: 0.7124 0.8382 0.1491
O: 0.8564 0.3377 0.7127
O: 0.3270 0.4520 0.0465
O: 0.8270 0.0480 0.5465
O: 0.2124 0.1618 0.8509
O: 0.0555 0.5707 0.1971
O: 0.2354 0.7730 0.0004
O: 0.7124 0.3382 0.3509
Na: 0.4835 0.4959 0.5145
Na: 0.9835 0.5041 0.4855
Na: 0.9835 0.0041 0.0145
Na: 0.4835 0.9959 0.9855
H: 0.4638 0.4482 0.8966
H: 0.4638 0.9482 0.6034
H: 0.7280 0.2234 0.4051
H: 0.8412 0.2156 0.6608
H: 0.2280 0.2766 0.9051
H: 0.3412 0.7844 0.3392
H: 0.8412 0.7156 0.8392
H: 0.2115 0.6898 0.7717
H: 0.2280 0.7766 0.5949
H: 0.9638 0.0518 0.3966
H: 0.7280 0.7234 0.0949
H: 0.3412 0.2844 0.1608
H: 0.7115 0.3102 0.2283
H: 0.7115 0.8102 0.2717
H: 0.9638 0.5518 0.1034
H: 0.2115 0.1898 0.7283
P: 0.2455 0.1200 0.3787
P: 0.2455 0.6200 0.1213
P: 0.7455 0.8800 0.6213
P: 0.7455 0.3800 0.8787

Computed properties:
Electronic total energy in eV/atom: -5.69
Formation energy from the elements in meV/atom: -1905.4
Maximum piezoelectric response in C/m2: 0.247
Space-group type: Pna2_1 (33)

---

Entry 6:
A geometry-optimized IClOF structure, computed with PBE.

Cell: 7.2760 8.0881 13.0819 Å, 85.39 90.00 90.00°
Fractional coordinates of all 32 atoms:
Cl: 0.2370 0.9598 0.1573
Cl: 0.1204 0.2853 0.9244
Cl: 0.7630 0.0402 0.8427
Cl: 0.8796 0.7147 0.0756
Cl: 0.6204 0.2147 0.0756
Cl: 0.7370 0.5402 0.8427
Cl: 0.2630 0.4598 0.1573
Cl: 0.3796 0.7853 0.9244
I: 0.5489 0.3556 0.2231
I: 0.1035 0.8211 0.5883
I: 0.4511 0.6444 0.7769
I: 0.3965 0.3211 0.5883
I: 0.6035 0.6789 0.4117
I: 0.9511 0.8556 0.2231
I: 0.8965 0.1789 0.4117
I: 0.0489 0.1444 0.7769
O: 0.0251 0.0324 0.6100
O: 0.9749 0.9676 0.3900
O: 0.4749 0.5324 0.6100
O: 0.3444 0.2356 0.7186
O: 0.6556 0.7644 0.2814
O: 0.1556 0.7356 0.7186
O: 0.5251 0.4676 0.3900
O: 0.8444 0.2644 0.2814
F: 0.6527 0.2477 0.6090
F: 0.3574 0.9147 0.5759
F: 0.8574 0.5853 0.4241
F: 0.3473 0.7523 0.3910
F: 0.8473 0.7477 0.6090
F: 0.6426 0.0853 0.4241
F: 0.1527 0.2523 0.3910
F: 0.1426 0.4147 0.5759

Computed properties:
Electronic total energy in eV/atom: -3.21
Formation energy from the elements in meV/atom: -940.4
Space-group type: P2_1/c (14)

---

Entry 7:
A geometry-optimized Cr2TeSe structure, computed with PBE.

Cell: 3.9614 3.9614 6.3378 Å, 90.00 90.00 120.00°
Fractional coordinates of all 4 atoms:
Te: 0.0000 0.0000 0.5000
Se: 0.3333 0.6667 0.0000
Cr: 0.6667 0.3333 0.2377
Cr: 0.6667 0.3333 0.7623

Computed properties:
Electronic total energy in eV/atom: -6.63
Formation energy from the elements in meV/atom: -257.7
Space-group type: P-6m2 (187)

---

Entry 8:
A geometry-optimized Ti2Co12P7 structure, computed with PBE.

Cell: 8.8658 8.8658 3.5038 Å, 90.00 90.00 120.00°
Fractional coordinates of all 21 atoms:
Co: 0.8284 0.6123 0.0000
Co: 0.8918 0.4273 0.5000
Co: 0.2265 0.2803 0.5000
Co: 0.2921 0.8944 0.0000
Co: 0.7197 0.9462 0.5000
Co: 0.5355 0.1082 0.5000
Co: 0.7839 0.1716 0.0000
Co: 0.5727 0.4645 0.5000
Co: 0.3877 0.2161 0.0000
Co: 0.6023 0.7079 0.0000
Co: 0.0538 0.7735 0.5000
Co: 0.1056 0.3977 0.0000
P: 0.5443 0.9190 0.0000
P: 0.3747 0.4557 0.0000
P: 0.6667 0.3333 0.0000
P: 0.9552 0.2109 0.5000
P: 0.2558 0.0448 0.5000
P: 0.0810 0.6253 0.0000
P: 0.7891 0.7442 0.5000
Ti: 0.0000 0.0000 0.0000
Ti: 0.3333 0.6667 0.5000

Computed properties:
Electronic total energy in eV/atom: -7.34
Formation energy from the elements in meV/atom: -720.2
Space-group type: P-6 (174)

---

Entry 9:
A geometry-optimized NaTbP2H2CO7 structure, computed with PBE.

Cell: 15.1956 6.6381 6.7325 Å, 88.47 90.00 90.00°
Fractional coordinates of all 56 atoms:
O: 0.5152 0.2788 0.8610
O: 0.6264 0.0209 0.0064
O: 0.1123 0.9021 0.4947
O: 0.6039 0.2539 0.3495
O: 0.8877 0.0979 0.5053
O: 0.3736 0.9791 0.9936
O: 0.8736 0.5209 0.0064
O: 0.3877 0.4021 0.4947
O: 0.8400 0.1715 0.0876
O: 0.2477 0.5650 0.6237
O: 0.8961 0.7539 0.3495
O: 0.7477 0.9350 0.3763
O: 0.6123 0.5979 0.5053
O: 0.4848 0.7212 0.1390
O: 0.3400 0.3285 0.9124
O: 0.7523 0.4350 0.3763
O: 0.1600 0.8285 0.9124
O: 0.3961 0.7461 0.6505
O: 0.0577 0.5212 0.3335
O: 0.4423 0.0212 0.3335
O: 0.9423 0.4788 0.6665
O: 0.6600 0.6715 0.0876
O: 0.0152 0.2212 0.1390
O: 0.1039 0.2461 0.6505
O: 0.5577 0.9788 0.6665
O: 0.9848 0.7788 0.8610
O: 0.1264 0.4791 0.9936
O: 0.2523 0.0650 0.6237
P: 0.0924 0.3679 0.1811
P: 0.9076 0.6321 0.8189
P: 0.8389 0.8981 0.4687
P: 0.6611 0.3981 0.4687
P: 0.3389 0.6019 0.5313
P: 0.5924 0.1321 0.8189
P: 0.4076 0.8679 0.1811
P: 0.1611 0.1019 0.5313
H: 0.2387 0.3211 0.3021
H: 0.2007 0.1077 0.1779
H: 0.2993 0.6077 0.1779
H: 0.7007 0.3923 0.8221
H: 0.7613 0.6789 0.6979
H: 0.7387 0.1789 0.6979
H: 0.2613 0.8211 0.3021
H: 0.7993 0.8923 0.8221
C: 0.1818 0.2210 0.2868
C: 0.8182 0.7790 0.7132
C: 0.6818 0.2790 0.7132
C: 0.3182 0.7210 0.2868
Na: 0.9719 0.1392 0.7968
Na: 0.4719 0.3608 0.2032
Na: 0.5281 0.6392 0.7968
Na: 0.0281 0.8608 0.2032
Tb: 0.6023 0.9037 0.3266
Tb: 0.1023 0.5963 0.6734
Tb: 0.3977 0.0963 0.6734
Tb: 0.8977 0.4037 0.3266

Computed properties:
Electronic total energy in eV/atom: -6.55
Formation energy from the elements in meV/atom: -2074.2
Space-group type: P2_1/c (14)

---

Copy entry 4 word for word.
A geometry-optimized SrTbEuSbO6 structure, computed with PBE.

Cell: 5.9522 5.9522 5.9522 Å, 60.00 60.00 60.00°
Fractional coordinates of all 10 atoms:
O: 0.7632 0.2368 0.7632
O: 0.2368 0.7632 0.2368
O: 0.2368 0.2368 0.7632
O: 0.2368 0.7632 0.7632
O: 0.7632 0.7632 0.2368
O: 0.7632 0.2368 0.2368
Sr: 0.2500 0.2500 0.2500
Tb: 0.5000 0.5000 0.5000
Sb: 0.0000 0.0000 0.0000
Eu: 0.7500 0.7500 0.7500

Computed properties:
Electronic total energy in eV/atom: -7.64
Formation energy from the elements in meV/atom: -3017.0
Space-group type: F-43m (216)

---

formation energy from the elements of number 6 (IClOF)? -940.4 meV/atom

---

What is the electronic total energy in the fifth record? -5.69 eV/atom

---

The lowest formation energy from the elements belongs to which entry? SrTbEuSbO6